Li2FeBPO7 | PBE with a Hubbard U | relaxed

Summary:
The value obtained for the total magnetization is 0.15 μB/f.u. Its energy is -6.4017 eV/atom. Its formation energy from the elements is -2.07 eV/atom.

abc: 6.428 5.129 8.523
angles: 86.33 90.00 90.00
Fractional coordinates of all 24 atoms:
O: 0.250 0.028 0.877
O: 0.250 0.429 0.460
O: 0.750 0.710 0.900
Fe: 0.750 0.781 0.342
P: 0.250 0.732 0.425
P: 0.750 0.268 0.575
Li: 0.018 0.773 0.783
O: 0.942 0.181 0.673
O: 0.058 0.819 0.327
O: 0.750 0.146 0.412
Fe: 0.250 0.219 0.658
Li: 0.982 0.227 0.217
O: 0.250 0.290 0.100
O: 0.558 0.181 0.673
B: 0.250 0.267 0.945
O: 0.442 0.819 0.327
B: 0.750 0.733 0.055
O: 0.750 0.972 0.123
O: 0.250 0.474 0.831
O: 0.750 0.526 0.169
O: 0.750 0.571 0.540
O: 0.250 0.854 0.588
Li: 0.482 0.773 0.783
Li: 0.518 0.227 0.217